No. 1
Density functional theory data (PBE+U) for a relaxed structure of Li3Fe2P3O12.

a b c (Å): 10.196 10.196 10.196
angles (deg): 109.47 109.47 109.47
Fractional positions:
O 0.617 0.409 0.110
O 0.292 0.299 0.909
O 0.007 0.299 0.890
O 0.890 0.383 0.591
O 0.883 0.993 0.792
O 0.390 0.799 0.507
O 0.701 0.091 0.708
O 0.507 0.390 0.799
O 0.110 0.993 0.701
O 0.409 0.799 0.792
O 0.383 0.292 0.493
O 0.617 0.708 0.507
O 0.201 0.208 0.591
O 0.890 0.007 0.299
O 0.299 0.890 0.007
O 0.409 0.110 0.617
O 0.117 0.007 0.208
O 0.091 0.708 0.701
O 0.493 0.383 0.292
O 0.708 0.507 0.617
O 0.799 0.507 0.390
O 0.091 0.883 0.390
O 0.208 0.117 0.007
O 0.299 0.909 0.292
O 0.799 0.792 0.409
O 0.201 0.493 0.610
O 0.993 0.792 0.883
O 0.993 0.701 0.110
O 0.701 0.110 0.993
O 0.292 0.493 0.383
O 0.507 0.617 0.708
O 0.708 0.701 0.091
O 0.208 0.591 0.201
O 0.390 0.091 0.883
O 0.007 0.208 0.117
O 0.792 0.883 0.993
O 0.610 0.909 0.117
O 0.610 0.201 0.493
O 0.883 0.390 0.091
O 0.110 0.617 0.409
O 0.117 0.610 0.909
O 0.493 0.610 0.201
O 0.591 0.201 0.208
O 0.383 0.591 0.890
O 0.591 0.890 0.383
O 0.792 0.409 0.799
O 0.909 0.117 0.610
O 0.909 0.292 0.299
Li 0.875 0.750 0.625
Li 0.875 0.625 0.250
Li 0.375 0.125 0.250
Li 0.125 0.250 0.375
Li 0.625 0.875 0.750
Li 0.250 0.875 0.625
Li 0.750 0.625 0.875
Li 0.125 0.375 0.750
Li 0.250 0.375 0.125
Li 0.375 0.750 0.125
Li 0.625 0.250 0.875
Li 0.750 0.125 0.375
P 0.250 0.625 0.375
P 0.125 0.875 0.250
P 0.375 0.250 0.625
P 0.875 0.125 0.750
P 0.375 0.625 0.750
P 0.875 0.250 0.125
P 0.750 0.875 0.125
P 0.125 0.750 0.875
P 0.750 0.375 0.625
P 0.625 0.750 0.375
P 0.625 0.375 0.250
P 0.250 0.125 0.875
Fe 0.000 0.000 0.500
Fe 0.000 0.500 0.500
Fe 0.500 0.000 0.000
Fe 0.000 0.500 0.000
Fe 0.500 0.500 0.000
Fe 0.500 0.500 0.500
Fe 0.500 0.000 0.500
Fe 0.000 0.000 0.000

Calculated values
symmetry: No. 230
total energy after the MP2020 corrections: -7.373 eV/atom
electronic total energy: -6.735 eV/atom
formation energy: -2.46 eV/atom
E above lowest polymorph: 48 meV per atom

---

No. 2
Density functional theory data (PBE+U) for a relaxed structure of Li2FeP2O7.

a b c (Å): 8.325 18.539 7.709
angles (deg): 90.00 92.79 90.00
Fractional positions:
P 0.136 0.925 0.553
P 0.238 0.633 0.554
P 0.234 0.131 0.059
P 0.240 0.696 0.908
P 0.215 0.202 0.401
P 0.434 0.373 0.742
P 0.864 0.425 0.447
P 0.760 0.196 0.092
P 0.766 0.631 0.941
P 0.864 0.908 0.070
P 0.566 0.873 0.258
P 0.136 0.408 0.930
P 0.785 0.702 0.599
P 0.434 0.956 0.762
P 0.566 0.456 0.238
P 0.762 0.133 0.446
O 0.309 0.633 0.023
O 0.497 0.013 0.641
O 0.626 0.241 0.169
O 0.155 0.660 0.730
O 0.691 0.133 0.977
O 0.513 0.447 0.729
O 0.639 0.079 0.365
O 0.812 0.987 0.034
O 0.326 0.190 0.967
O 0.487 0.947 0.271
O 0.084 0.250 0.468
O 0.210 0.852 0.495
O 0.240 0.947 0.732
O 0.901 0.095 0.547
O 0.114 0.740 0.991
O 0.107 0.094 0.940
O 0.654 0.577 0.839
O 0.570 0.831 0.426
O 0.790 0.352 0.505
O 0.138 0.165 0.221
O 0.845 0.160 0.270
O 0.036 0.418 0.397
O 0.512 0.882 0.736
O 0.361 0.579 0.635
O 0.185 0.353 0.075
O 0.511 0.329 0.892
O 0.686 0.195 0.544
O 0.758 0.884 0.235
O 0.862 0.665 0.779
O 0.242 0.384 0.765
O 0.374 0.741 0.831
O 0.831 0.489 0.570
O 0.649 0.748 0.670
O 0.038 0.900 0.136
O 0.554 0.480 0.050
O 0.962 0.400 0.864
O 0.188 0.487 0.966
O 0.815 0.853 0.925
O 0.916 0.750 0.532
O 0.314 0.695 0.456
O 0.275 0.142 0.524
O 0.760 0.447 0.268
O 0.488 0.382 0.264
O 0.503 0.513 0.359
O 0.346 0.077 0.161
O 0.886 0.240 0.009
O 0.099 0.595 0.453
O 0.674 0.690 0.033
O 0.169 0.989 0.430
O 0.489 0.829 0.108
O 0.446 0.980 0.950
O 0.964 0.918 0.603
O 0.893 0.594 0.060
O 0.430 0.331 0.574
O 0.351 0.248 0.330
O 0.725 0.642 0.476
Li 0.246 0.364 0.408
Li 0.995 0.044 0.323
Li 0.147 0.562 0.135
Li 0.268 0.943 0.112
Li 0.853 0.062 0.865
Li 0.061 0.795 0.345
Li 0.732 0.443 0.888
Li 0.014 0.296 0.173
Li 0.005 0.544 0.677
Li 0.754 0.864 0.592
Li 0.116 0.101 0.680
Li 0.492 0.683 0.215
Li 0.939 0.295 0.655
Li 0.508 0.183 0.785
Li 0.884 0.601 0.320
Li 0.986 0.796 0.827
Fe 0.594 0.542 0.591
Fe 0.411 0.292 0.102
Fe 0.412 0.791 0.596
Fe 0.406 0.042 0.409
Fe 0.417 0.538 0.881
Fe 0.583 0.038 0.119
Fe 0.588 0.291 0.404
Fe 0.589 0.792 0.898

Calculated values
symmetry: No. 4
total energy after the MP2020 corrections: -7.298 eV/atom
electronic total energy: -6.709 eV/atom
formation energy: -2.49 eV/atom
E above lowest polymorph: 86 meV per atom

---

No. 3
Density functional theory data (PBE+U) for a relaxed structure of LiFe2P3O12.

a b c (Å): 8.618 8.618 8.724
angles (deg): 59.96 59.96 60.52
Fractional positions:
O 0.123 0.009 0.798
O 0.062 0.766 0.415
O 0.991 0.877 0.702
O 0.320 0.614 0.975
O 0.558 0.905 0.270
O 0.009 0.123 0.298
O 0.473 0.190 0.388
O 0.190 0.473 0.888
O 0.938 0.234 0.585
O 0.386 0.680 0.525
O 0.614 0.320 0.475
O 0.234 0.938 0.085
O 0.905 0.558 0.770
O 0.527 0.810 0.612
O 0.442 0.095 0.730
O 0.810 0.527 0.112
O 0.095 0.442 0.230
O 0.877 0.991 0.202
O 0.680 0.386 0.025
O 0.415 0.256 0.058
O 0.744 0.585 0.442
O 0.585 0.744 0.942
O 0.256 0.415 0.558
O 0.766 0.062 0.915
Fe 0.140 0.639 0.649
Fe 0.361 0.860 0.851
Fe 0.860 0.361 0.351
Fe 0.639 0.140 0.149
P 0.450 0.255 0.535
P 0.958 0.042 0.750
P 0.042 0.958 0.250
P 0.255 0.450 0.035
P 0.745 0.550 0.965
P 0.550 0.745 0.465
Li 0.000 0.500 0.500
Li 0.500 0.000 0.000

Calculated values
symmetry: No. 15
total energy after the MP2020 corrections: -7.498 eV/atom
electronic total energy: -6.789 eV/atom
formation energy: -2.25 eV/atom
E above lowest polymorph: 0 meV per atom

---

No. 4
Density functional theory data (PBE+U) for a relaxed structure of Li3Fe5P6O24.

a b c (Å): 7.959 8.402 8.856
angles (deg): 105.23 109.74 108.56
Fractional positions:
O 0.248 0.907 0.595
O 0.450 0.123 0.258
O 0.205 0.773 0.876
O 0.310 0.235 0.673
O 0.814 0.220 0.439
O 0.627 0.339 0.581
O 0.407 0.671 0.074
O 0.143 0.592 0.336
O 0.572 0.155 0.845
O 0.709 0.453 0.355
O 0.051 0.445 0.846
O 0.941 0.280 0.085
O 0.309 0.418 0.200
O 0.824 0.705 0.238
O 0.612 0.706 0.668
O 0.271 0.108 0.892
O 0.309 0.550 0.744
O 0.073 0.830 0.128
O 0.812 0.044 0.734
O 0.729 0.549 0.918
O 0.903 0.803 0.601
O 0.762 0.876 0.047
O 0.584 0.804 0.421
O 0.184 0.322 0.395
P 0.729 0.841 0.611
P 0.345 0.098 0.750
P 0.656 0.284 0.410
P 0.845 0.746 0.076
P 0.143 0.401 0.258
P 0.245 0.606 0.885
Fe 0.495 0.473 0.681
Fe 0.998 0.688 0.450
Fe 0.553 0.592 0.238
Fe 0.824 0.283 0.843
Fe 0.227 0.985 0.037
Li 0.065 0.236 0.526
Li 0.319 0.801 0.300
Li 0.706 0.056 0.003

Calculated values
symmetry: No. 1
total energy after the MP2020 corrections: -7.575 eV/atom
electronic total energy: -6.845 eV/atom
formation energy: -2.33 eV/atom
E above lowest polymorph: 50 meV per atom

---

Please write out number 4 again, unchanged.
Density functional theory data (PBE+U) for a relaxed structure of Li3Fe5P6O24.

a b c (Å): 7.959 8.402 8.856
angles (deg): 105.23 109.74 108.56
Fractional positions:
O 0.248 0.907 0.595
O 0.450 0.123 0.258
O 0.205 0.773 0.876
O 0.310 0.235 0.673
O 0.814 0.220 0.439
O 0.627 0.339 0.581
O 0.407 0.671 0.074
O 0.143 0.592 0.336
O 0.572 0.155 0.845
O 0.709 0.453 0.355
O 0.051 0.445 0.846
O 0.941 0.280 0.085
O 0.309 0.418 0.200
O 0.824 0.705 0.238
O 0.612 0.706 0.668
O 0.271 0.108 0.892
O 0.309 0.550 0.744
O 0.073 0.830 0.128
O 0.812 0.044 0.734
O 0.729 0.549 0.918
O 0.903 0.803 0.601
O 0.762 0.876 0.047
O 0.584 0.804 0.421
O 0.184 0.322 0.395
P 0.729 0.841 0.611
P 0.345 0.098 0.750
P 0.656 0.284 0.410
P 0.845 0.746 0.076
P 0.143 0.401 0.258
P 0.245 0.606 0.885
Fe 0.495 0.473 0.681
Fe 0.998 0.688 0.450
Fe 0.553 0.592 0.238
Fe 0.824 0.283 0.843
Fe 0.227 0.985 0.037
Li 0.065 0.236 0.526
Li 0.319 0.801 0.300
Li 0.706 0.056 0.003

Calculated values
symmetry: No. 1
total energy after the MP2020 corrections: -7.575 eV/atom
electronic total energy: -6.845 eV/atom
formation energy: -2.33 eV/atom
E above lowest polymorph: 50 meV per atom